1.
TcAg3 (GGA-PBE, relaxed); SG = I4/mmm, No. 139; calculated formation energy = 0.59 eV per atom; M_tot = 2.484 μB/f.u.
1.0
-2.1287 2.1287 3.8800
2.1287 -2.1287 3.8800
2.1287 2.1287 -3.8800
Tc Ag
1 3
Direct
0.0000 0.0000 0.0000
0.2500 0.7500 0.5000
0.5000 0.5000 0.0000
0.7500 0.2500 0.5000


2.
Tm2TcAg (GGA-PBE, relaxed); SG = Fm-3m, No. 225; calculated formation energy = -0.18 eV per atom; M_tot = 0.000 μB/f.u.
1.0
0.0000 3.4723 3.4723
3.4723 0.0000 3.4723
3.4723 3.4723 0.0000
Tm Tc Ag
2 1 1
Direct
0.2500 0.2500 0.2500
0.7500 0.7500 0.7500
0.0000 0.0000 0.0000
0.5000 0.5000 0.5000


3.
Ag2Te (GGA-PBE, relaxed); SG = I4/mmm, No. 139; calculated formation energy = -0.18 eV per atom; total energy after the MP2020 corrections = -3.1127 eV/atom
1.0
-2.4619 2.4619 3.1870
2.4619 -2.4619 3.1870
2.4619 2.4619 -3.1870
Ag Te
2 1
Direct
0.2500 0.7500 0.5000
0.7500 0.2500 0.5000
0.0000 0.0000 0.0000


4.
Ag2Te (GGA-PBE, relaxed); SG = Cmce, No. 64; calculated formation energy = -0.16 eV per atom; total energy after the MP2020 corrections = -3.1006 eV/atom
1.0
2.5397 -3.7798 0.0000
2.5397 3.7798 0.0000
0.0000 0.0000 7.6668
Ag Te
4 2
Direct
0.1426 0.8574 0.8580
0.3574 0.6426 0.3580
0.6426 0.3574 0.6420
0.8574 0.1426 0.1420
0.0000 0.0000 0.5000
0.5000 0.5000 0.0000


5.
AgTe (GGA-PBE, relaxed); SG = Pnma, No. 62; calculated formation energy = -0.26 eV per atom; total energy after the MP2020 corrections = -3.2448 eV/atom
1.0
20.3587 0.0000 0.0000
0.0000 8.9336 0.0000
0.0000 0.0000 4.7427
Ag Te
16 16
Direct
0.0522 0.2500 0.1799
0.0685 0.0152 0.6369
0.0685 0.4848 0.6369
0.1558 0.7500 0.7486
0.3442 0.2500 0.2486
0.4315 0.5152 0.1369
0.4315 0.9848 0.1369
0.4478 0.7500 0.6799
0.5522 0.2500 0.3201
0.5685 0.0152 0.8631
0.5685 0.4848 0.8631
0.6558 0.7500 0.7514
0.8442 0.2500 0.2514
0.9315 0.5152 0.3631
0.9315 0.9848 0.3631
0.9478 0.7500 0.8201
0.0306 0.7500 0.3293
0.1574 0.0229 0.0957
0.1574 0.4771 0.0957
0.2410 0.2500 0.8474
0.2590 0.7500 0.3474
0.3426 0.5229 0.5957
0.3426 0.9771 0.5957
0.4694 0.2500 0.8293
0.5306 0.7500 0.1707
0.6574 0.0229 0.4043
0.6574 0.4771 0.4043
0.7410 0.2500 0.6526
0.7590 0.7500 0.1526
0.8426 0.5229 0.9043
0.8426 0.9771 0.9043
0.9694 0.2500 0.6707


6.
Ag2Te (GGA-PBE, relaxed); SG = P1, No. 1; calculated formation energy = -0.14 eV per atom; M_tot = 0.001 μB/f.u.; total energy after the MP2020 corrections = -3.0757 eV/atom
1.0
4.7183 0.0000 0.0000
-2.2682 4.1918 0.0000
-0.9280 -1.8700 27.1121
Ag Te
14 7
Direct
0.0000 0.0000 0.0000
0.0117 0.6996 0.6754
0.1795 0.9852 0.1000
0.2936 0.2612 0.5141
0.3562 0.3861 0.7486
0.3723 0.4261 0.2926
0.3960 0.5263 0.9439
0.5899 0.8577 0.3779
0.6548 0.9866 0.5933
0.6860 0.0480 0.7092
0.7144 0.0888 0.8213
0.8192 0.3367 0.2361
0.8483 0.3528 0.1313
0.9718 0.6193 0.5458
0.0305 0.7334 0.7862
0.1496 0.9986 0.2045
0.3336 0.3446 0.6353
0.4811 0.6094 0.0629
0.6170 0.9044 0.4855
0.7167 0.1706 0.9214
0.9059 0.4798 0.3511


7.
Ag2Te (GGA-PBE, relaxed); SG = P2_1/c, No. 14; calculated formation energy = -0.20 eV per atom; total energy after the MP2020 corrections = -3.1387 eV/atom
1.0
8.0457 0.0000 0.0000
0.0000 4.5328 0.0000
-4.8552 0.0000 7.7677
Ag Te
8 4
Direct
0.0318 0.1265 0.1571
0.0318 0.3735 0.6571
0.3349 0.6428 0.3445
0.3349 0.8572 0.8445
0.6651 0.1428 0.1555
0.6651 0.3572 0.6555
0.9682 0.6265 0.3429
0.9682 0.8735 0.8429
0.2727 0.1457 0.5299
0.2727 0.3543 0.0299
0.7273 0.6457 0.9701
0.7273 0.8543 0.4701


8.
Ag2Te (GGA-PBE, relaxed); SG = Pc, No. 7; largest piezoelectric modulus = 1.69 C/m²; calculated formation energy = -0.17 eV per atom; M_tot = 0.000 μB/f.u.; total energy after the MP2020 corrections = -3.1026 eV/atom
1.0
4.7823 0.0000 0.0000
0.0000 9.6314 0.0000
-4.7268 0.0000 6.8451
Ag Te
8 4
Direct
0.0000 0.1236 0.0000
0.0000 0.8764 0.5000
0.0006 0.3731 0.5060
0.0006 0.6269 0.0060
0.4216 0.3753 0.0828
0.4216 0.6247 0.5828
0.5008 0.1247 0.5006
0.5008 0.8753 0.0006
0.7521 0.3699 0.7441
0.7521 0.6301 0.2441
0.7623 0.1204 0.2498
0.7623 0.8796 0.7498